(1)
DFT (PBE-GGA) results for a relaxed PrFeSi crystal.

a b c (Å): 4.070 4.070 7.082
angles (deg): 90.00 90.00 90.00
Space group P4/nmm (No. 129, origin choice 2)
Asymmetric unit:
Pr (0.250, 0.250, 0.187) [2 per cell]
Fe (0.250, 0.750, 0.500) [2 per cell]
Si (0.250, 0.250, 0.658) [2 per cell]

Results
The calculation puts the calculated volume at 19.55 Å³ per atom. The MP2020-corrected energy is -6.759 eV per atom.

(2)
DFT (PBE-GGA) results for a relaxed PrFeSi2 crystal.

a b c (Å): 4.128 17.061 4.033
angles (deg): 90.00 90.00 90.00
Space group Cmcm (No. 63)
Asymmetric unit:
Pr (0.000, 0.107, 0.250) [4 per cell]
Fe (0.000, 0.250, 0.750) [4 per cell]
Si (0.000, 0.310, 0.250) [4 per cell]
Si (0.000, 0.462, 0.250) [4 per cell]

Results
The calculation puts the calculated volume at 17.75 Å³ per atom. The MP2020-corrected energy is -6.629 eV per atom.

- calculated volume of number 2 (PrFeSi2)?
  17.75 Å³ per atom

- Which of these has the highest calculated volume?
  PrFeSi